Entry 1:
CaV4O10 | PBE+U | optimized geometry

Results
Space group: No. 25
Size of the total moment, μB per formula unit: 2.002

a = 3.618 Å, b = 5.175 Å, c = 11.476 Å
α = 90.00°, β = 90.00°, γ = 90.00°
Atoms (fractional coordinates):
Ca: 0.000 0.852 0.500
V: 0.000 0.593 0.851
V: 0.500 0.393 0.651
V: 0.500 0.393 0.349
V: 0.000 0.593 0.149
O: 0.500 0.563 0.500
O: 0.000 0.478 0.000
O: 0.500 0.488 0.821
O: 0.000 0.529 0.676
O: 0.500 0.488 0.179
O: 0.000 0.529 0.324
O: 0.000 0.902 0.140
O: 0.500 0.074 0.379
O: 0.500 0.074 0.621
O: 0.000 0.902 0.860



Entry 2:
CaV2O5 | PBE+U | optimized geometry

Results
Space group: No. 63
Size of the total moment, μB per formula unit: 2.000

a = 3.818 Å, b = 5.899 Å, c = 11.324 Å
α = 90.00°, β = 90.00°, γ = 108.88°
Atoms (fractional coordinates):
Ca: 0.897 0.793 0.750
Ca: 0.103 0.207 0.250
V: 0.202 0.405 0.596
V: 0.798 0.595 0.404
V: 0.798 0.595 0.096
V: 0.202 0.405 0.904
O: 0.712 0.423 0.250
O: 0.288 0.577 0.750
O: 0.241 0.481 0.075
O: 0.759 0.519 0.925
O: 0.759 0.519 0.575
O: 0.241 0.481 0.425
O: 0.056 0.111 0.620
O: 0.944 0.889 0.380
O: 0.056 0.111 0.880
O: 0.944 0.889 0.120



Entry 3:
CaV2O6 | PBE+U | optimized geometry

Results
Space group: No. 31
Size of the total moment, μB per formula unit: 0.000

a = 5.446 Å, b = 5.488 Å, c = 7.312 Å
α = 90.00°, β = 90.00°, γ = 90.00°
Atoms (fractional coordinates):
Ca: 0.520 0.302 0.500
Ca: 0.020 0.698 0.000
V: 0.040 0.232 0.757
V: 0.540 0.768 0.257
V: 0.540 0.768 0.743
V: 0.040 0.232 0.243
O: 0.207 0.966 0.217
O: 0.263 0.456 0.778
O: 0.707 0.034 0.283
O: 0.763 0.544 0.722
O: 0.763 0.544 0.278
O: 0.707 0.034 0.717
O: 0.263 0.456 0.222
O: 0.207 0.966 0.783
O: 0.039 0.240 0.500
O: 0.429 0.739 0.500
O: 0.929 0.261 0.000
O: 0.539 0.760 0.000



Entry 4:
CaV4O6 | PBE+U | optimized geometry

Results
Space group: No. 63
Size of the total moment, μB per formula unit: 0.018

a = 3.111 Å, b = 5.263 Å, c = 15.437 Å
α = 90.00°, β = 90.00°, γ = 72.81°
Atoms (fractional coordinates):
Ca: 0.349 0.302 0.750
Ca: 0.651 0.698 0.250
V: 0.861 0.277 0.957
V: 0.861 0.277 0.543
V: 0.402 0.195 0.366
V: 0.402 0.195 0.134
V: 0.139 0.723 0.043
V: 0.139 0.723 0.457
V: 0.598 0.805 0.634
V: 0.598 0.805 0.866
O: 0.500 0.000 0.500
O: 0.500 0.000 0.000
O: 0.678 0.644 0.750
O: 0.322 0.356 0.250
O: 0.970 0.060 0.841
O: 0.030 0.940 0.159
O: 0.030 0.940 0.341
O: 0.970 0.060 0.659
O: 0.224 0.553 0.912
O: 0.776 0.447 0.088
O: 0.776 0.447 0.412
O: 0.224 0.553 0.588



Entry 5:
CaV2O2 | PBE+U | optimized geometry

Results
Space group: No. 141
Size of the total moment, μB per formula unit: 6.000

a = 8.333 Å, b = 8.333 Å, c = 8.333 Å
α = 117.94°, β = 117.94°, γ = 93.62°
Atoms (fractional coordinates):
Ca: 0.875 0.125 0.250
Ca: 0.875 0.625 0.750
Ca: 0.375 0.125 0.250
Ca: 0.875 0.125 0.750
V: 0.556 0.370 0.813
V: 0.556 0.743 0.187
V: 0.493 0.806 0.687
V: 0.194 0.507 0.313
V: 0.194 0.880 0.687
V: 0.120 0.806 0.313
V: 0.257 0.444 0.813
V: 0.630 0.444 0.187
O: 0.670 0.343 0.673
O: 0.670 0.997 0.327
O: 0.747 0.920 0.827
O: 0.080 0.253 0.173
O: 0.080 0.907 0.827
O: 0.093 0.920 0.173
O: 0.003 0.330 0.673
O: 0.657 0.330 0.327



Entry 6:
CaV5O7 | PBE+U | optimized geometry

Results
Space group: No. 63
Size of the total moment, μB per formula unit: 1.082

a = 3.124 Å, b = 5.256 Å, c = 18.148 Å
α = 89.99°, β = 90.00°, γ = 107.29°
Atoms (fractional coordinates):
Ca: 0.790 0.581 0.750
Ca: 0.210 0.419 0.250
V: 0.278 0.556 0.574
V: 0.722 0.444 0.426
V: 0.722 0.444 0.074
V: 0.278 0.556 0.926
V: 0.000 0.000 0.500
V: 0.000 0.000 0.000
V: 0.458 0.916 0.151
V: 0.542 0.084 0.849
V: 0.542 0.084 0.651
V: 0.458 0.916 0.349
O: 0.461 0.922 0.750
O: 0.539 0.078 0.250
O: 0.633 0.267 0.960
O: 0.367 0.733 0.040
O: 0.367 0.733 0.460
O: 0.633 0.267 0.540
O: 0.169 0.339 0.828
O: 0.831 0.661 0.172
O: 0.830 0.661 0.328
O: 0.169 0.339 0.672
O: 0.916 0.833 0.889
O: 0.084 0.167 0.111
O: 0.084 0.167 0.389
O: 0.916 0.833 0.611



Entry 7:
CaV2O6 | PBE+U | optimized geometry

Results
Space group: No. 12

a = 3.698 Å, b = 5.555 Å, c = 7.267 Å
α = 102.05°, β = 90.00°, γ = 109.44°
Atoms (fractional coordinates):
Ca: 0.000 0.000 0.000
V: 0.241 0.483 0.672
V: 0.759 0.517 0.328
O: 0.756 0.511 0.603
O: 0.244 0.489 0.397
O: 0.368 0.736 0.867
O: 0.101 0.201 0.741
O: 0.632 0.264 0.133
O: 0.899 0.799 0.259



Entry 8:
CaV2O5 | PBE+U | optimized geometry

Results
Space group: No. 59

a = 3.618 Å, b = 5.069 Å, c = 11.557 Å
α = 89.98°, β = 90.00°, γ = 90.00°
Atoms (fractional coordinates):
Ca: 0.750 0.852 0.250
Ca: 0.250 0.148 0.750
V: 0.750 0.606 0.598
V: 0.250 0.394 0.402
V: 0.250 0.394 0.098
V: 0.750 0.606 0.902
O: 0.750 0.445 0.750
O: 0.250 0.555 0.250
O: 0.750 0.541 0.074
O: 0.250 0.459 0.926
O: 0.750 0.541 0.426
O: 0.250 0.459 0.574
O: 0.250 0.068 0.373
O: 0.750 0.932 0.627
O: 0.750 0.932 0.873
O: 0.250 0.068 0.127



Entry 9:
CaV5O7 | PBE+U | optimized geometry

Results
Space group: No. 1
Size of the total moment, μB per formula unit: 13.000

a = 3.096 Å, b = 5.350 Å, c = 18.180 Å
α = 90.14°, β = 89.96°, γ = 106.93°
Atoms (fractional coordinates):
Ca: 0.787 0.574 0.750
Ca: 0.212 0.424 0.251
V: 0.003 0.002 0.001
V: 0.721 0.452 0.076
V: 0.273 0.547 0.924
V: 0.536 0.071 0.652
V: 0.464 0.930 0.348
V: 0.000 0.001 0.500
V: 0.273 0.544 0.576
V: 0.728 0.456 0.424
V: 0.462 0.921 0.147
V: 0.540 0.078 0.852
O: 0.455 0.909 0.747
O: 0.546 0.092 0.254
O: 0.639 0.276 0.968
O: 0.352 0.715 0.037
O: 0.365 0.732 0.463
O: 0.635 0.269 0.537
O: 0.169 0.336 0.827
O: 0.821 0.643 0.168
O: 0.837 0.673 0.328
O: 0.163 0.326 0.671
O: 0.912 0.825 0.892
O: 0.106 0.205 0.107
O: 0.087 0.176 0.392
O: 0.913 0.824 0.608



Entry 10:
CaV4O6 | PBE+U | optimized geometry

Results
Space group: No. 12
Size of the total moment, μB per formula unit: 0.969

a = 3.097 Å, b = 5.337 Å, c = 15.367 Å
α = 89.41°, β = 90.00°, γ = 73.13°
Atoms (fractional coordinates):
Ca: 0.349 0.302 0.749
Ca: 0.651 0.698 0.251
V: 0.863 0.274 0.541
V: 0.598 0.805 0.635
V: 0.401 0.198 0.133
V: 0.599 0.802 0.867
V: 0.137 0.727 0.045
V: 0.864 0.273 0.955
V: 0.137 0.727 0.459
V: 0.403 0.195 0.365
O: 0.500 0.000 0.500
O: 0.500 0.000 0.000
O: 0.679 0.642 0.751
O: 0.321 0.358 0.249
O: 0.972 0.055 0.840
O: 0.027 0.945 0.160
O: 0.029 0.943 0.342
O: 0.971 0.057 0.658
O: 0.223 0.554 0.914
O: 0.777 0.446 0.086
O: 0.775 0.450 0.410
O: 0.225 0.550 0.590



Entry 11:
Ca2V2O7 | PBE+U | optimized geometry

Results
Space group: No. 2

a = 6.749 Å, b = 7.034 Å, c = 7.123 Å
α = 85.96°, β = 63.79°, γ = 82.86°
Atoms (fractional coordinates):
Ca: 0.256 0.658 0.172
Ca: 0.744 0.342 0.828
Ca: 0.268 0.060 0.764
Ca: 0.732 0.940 0.236
V: 0.274 0.555 0.654
V: 0.726 0.445 0.346
V: 0.196 0.165 0.267
V: 0.804 0.835 0.733
O: 0.950 0.302 0.437
O: 0.050 0.698 0.563
O: 0.464 0.599 0.370
O: 0.536 0.401 0.630
O: 0.343 0.053 0.399
O: 0.657 0.947 0.601
O: 0.361 0.317 0.076
O: 0.639 0.683 0.924
O: 0.133 0.991 0.141
O: 0.867 0.009 0.859
O: 0.251 0.719 0.827
O: 0.749 0.281 0.173
O: 0.108 0.373 0.767
O: 0.892 0.627 0.233



Entry 12:
Ca2V3O8 | PBE+U | optimized geometry

Results
Space group: No. 1
Size of the total moment, μB per formula unit: 3.000

a = 6.066 Å, b = 6.062 Å, c = 10.564 Å
α = 90.02°, β = 90.02°, γ = 60.04°
Atoms (fractional coordinates):
Ca: 0.334 0.334 0.024
Ca: 0.667 0.667 0.524
Ca: 0.333 0.334 0.432
Ca: 0.668 0.666 0.931
V: 0.839 0.327 0.245
V: 0.160 0.673 0.746
V: 0.327 0.833 0.246
V: 0.834 0.839 0.246
V: 0.673 0.167 0.745
V: 0.167 0.159 0.746
O: 0.000 0.000 0.345
O: 0.999 0.000 0.845
O: 0.667 0.667 0.145
O: 0.333 0.333 0.645
O: 0.689 0.139 0.155
O: 0.860 0.829 0.655
O: 0.829 0.311 0.655
O: 0.172 0.690 0.154
O: 0.138 0.172 0.155
O: 0.310 0.860 0.654
O: 0.047 0.461 0.849
O: 0.538 0.507 0.349
O: 0.507 0.955 0.349
O: 0.493 0.046 0.849
O: 0.461 0.494 0.849
O: 0.954 0.539 0.349



Entry 13:
CaV8O24 | PBE+U | optimized geometry

Results
Space group: No. 6
Size of the total moment, μB per formula unit: 6.003

a = 3.725 Å, b = 11.600 Å, c = 11.722 Å
α = 76.50°, β = 90.00°, γ = 90.00°
Atoms (fractional coordinates):
Ca: 0.500 0.561 0.512
V: 0.500 0.145 0.693
V: 0.000 0.144 0.193
V: 0.000 0.853 0.808
V: 0.500 0.861 0.298
V: 0.000 0.144 0.899
V: 0.500 0.140 0.401
V: 0.500 0.862 0.596
V: 0.000 0.858 0.099
O: 0.500 0.117 0.867
O: 0.000 0.116 0.369
O: 0.000 0.884 0.632
O: 0.500 0.887 0.123
O: 0.500 0.086 0.562
O: 0.000 0.091 0.058
O: 0.000 0.915 0.937
O: 0.500 0.918 0.444
O: 0.000 0.285 0.879
O: 0.500 0.282 0.382
O: 0.500 0.717 0.611
O: 0.000 0.717 0.121
O: 0.500 0.286 0.645
O: 0.000 0.284 0.147
O: 0.000 0.712 0.856
O: 0.500 0.716 0.353
O: 0.000 0.112 0.734
O: 0.500 0.108 0.236
O: 0.500 0.890 0.764
O: 0.000 0.904 0.255
O: 0.500 0.495 0.826
O: 0.500 0.501 0.172
O: 0.000 0.463 0.473
O: 0.000 0.464 0.589



Entry 14:
Ca2V2O9 | PBE+U | optimized geometry

Results
Space group: No. 2
Size of the total moment, μB per formula unit: 2.000

a = 6.645 Å, b = 8.495 Å, c = 8.509 Å
α = 109.64°, β = 92.92°, γ = 112.77°
Atoms (fractional coordinates):
Ca: 0.135 0.953 0.297
Ca: 0.865 0.047 0.703
Ca: 0.327 0.940 0.791
Ca: 0.673 0.060 0.209
V: 0.741 0.733 0.861
V: 0.259 0.267 0.139
V: 0.486 0.256 0.644
V: 0.514 0.744 0.356
O: 0.540 0.496 0.738
O: 0.460 0.504 0.262
O: 0.939 0.816 0.748
O: 0.061 0.184 0.252
O: 0.876 0.749 0.042
O: 0.124 0.251 0.958
O: 0.619 0.888 0.915
O: 0.381 0.112 0.085
O: 0.633 0.198 0.769
O: 0.367 0.802 0.231
O: 0.537 0.197 0.443
O: 0.463 0.803 0.557
O: 0.212 0.096 0.614
O: 0.788 0.904 0.386
O: 0.019 0.401 0.636
O: 0.981 0.599 0.364
O: 0.904 0.452 0.238
O: 0.096 0.548 0.762



no.,VASP energy (eV/atom),E_form (meV/atom)
1,-7.509,-2566
2,-7.518,-2759
3,-7.272,-2568
4,-7.716,-2525
5,-6.096,-1037
6,-7.749,-2461
7,-7.404,-2700
8,-7.561,-2801
9,-7.683,-2394
10,-7.700,-2509
11,-7.327,-2908
12,-7.413,-2778
13,-6.939,-1607
14,-6.932,-2174